(1)
Mg7Si4, optimized geometry, DFT PBE-GGA; size of the total moment = 0.00 μB/atom
1.0
-4.2878 0.0000 0.0000
-0.0224 -6.2540 0.0000
1.1068 2.6360 16.6024
Mg Si
14 8
Direct
0.4255 0.8599 0.8618 Mg
0.9046 0.1289 0.7755 Mg
0.3462 0.1070 0.5362 Mg
0.3869 0.4025 0.7034 Mg
0.4311 0.3789 0.8884 Mg
0.2842 0.5456 0.3362 Mg
0.2891 0.0285 0.2975 Mg
0.3475 0.6090 0.5363 Mg
0.9615 0.6591 0.9790 Mg
0.9553 0.1577 0.9729 Mg
0.4864 0.9439 0.0696 Mg
0.4789 0.4639 0.1069 Mg
0.8158 0.8305 0.4333 Mg
0.8153 0.3141 0.4267 Mg
0.0022 0.1680 0.1401 Si
0.9157 0.5678 0.8116 Si
0.3799 0.9249 0.6781 Si
0.7675 0.7197 0.2669 Si
0.0045 0.7760 0.1452 Si
0.8834 0.7199 0.6851 Si
0.8593 0.3782 0.5918 Si
0.7592 0.3232 0.2614 Si



(2)
Sr4Ta2O9, optimized geometry, DFT PBE-GGA; size of the total moment = 0.00 μB/atom
1.0
-2.6399 5.0463 -1.7094
-2.7732 -5.2067 -0.7461
-6.3646 1.3924 13.9391
Sr Ta O
8 4 18
Direct
0.3333 0.6667 0.5278 Sr
0.3333 0.6667 0.8011 Sr
0.3333 0.6667 0.3011 Sr
0.3333 0.6667 0.0278 Sr
0.6667 0.3333 0.6989 Sr
0.6667 0.3333 0.1989 Sr
0.6667 0.3333 0.9722 Sr
0.6667 0.3333 0.4722 Sr
0.0000 0.0000 0.6495 Ta
0.0000 0.0000 0.8505 Ta
0.0000 0.0000 0.1495 Ta
0.0000 0.0000 0.3505 Ta
0.0000 0.7516 0.2500 O
0.0399 0.7306 0.9071 O
0.2694 0.9601 0.4071 O
0.0399 0.3093 0.4071 O
0.0000 0.2484 0.7500 O
0.2484 0.2484 0.2500 O
0.2694 0.3093 0.9071 O
0.6907 0.9601 0.9071 O
0.3093 0.2694 0.5929 O
0.2484 0.0000 0.7500 O
0.6907 0.7306 0.4071 O
0.3093 0.0399 0.0929 O
0.7306 0.6907 0.0929 O
0.7516 0.7516 0.7500 O
0.9601 0.6907 0.5929 O
0.7306 0.0399 0.5929 O
0.7516 0.0000 0.2500 O
0.9601 0.2694 0.0929 O



(3)
MgTe2Mo2W2Se4S2, optimized geometry, DFT PBE-GGA; size of the total moment = 0.00 μB/atom
1.0
3.3352 0.0000 0.0000
-1.6676 2.8887 -0.0002
0.0000 -0.0033 45.7651
Mg Te Mo W Se S
1 2 2 2 4 2
Direct
0.9999 0.9999 0.5603 Mg
0.6667 0.3333 0.0520 Te
0.6666 0.3333 0.1350 Te
0.3333 0.6667 0.0936 Mo
0.6666 0.3332 0.2820 Mo
0.3333 0.6667 0.4618 W
0.6667 0.3335 0.6651 W
0.3334 0.6668 0.3185 Se
0.3335 0.6670 0.7018 Se
0.3331 0.6663 0.2455 Se
0.3334 0.6668 0.6282 Se
0.6666 0.3332 0.4286 S
0.6667 0.3334 0.4953 S



(4)
Y11In9Ni4: optimized geometry, PBE-GGA.

Geometry as POSCAR:
```
Y11In9Ni4
1.0
-8.6547 -4.3797 -8.8151
-0.9401 -6.0515 11.5883
-2.4064 2.5100 1.1155
Y In Ni
11 9 4
Direct
0.0780 0.4155 0.0000 Y
0.9220 0.5845 0.0000 Y
0.4155 0.0780 0.0000 Y
0.5845 0.9220 0.0000 Y
0.6252 0.3748 0.0000 Y
0.3748 0.6252 0.0000 Y
0.8383 0.1617 0.0000 Y
0.1617 0.8383 0.0000 Y
0.0000 0.0000 0.0000 Y
0.3120 0.3120 0.0000 Y
0.6880 0.6880 0.0000 Y
0.8409 0.3694 0.5000 In
0.1591 0.6306 0.5000 In
0.3694 0.8409 0.5000 In
0.6306 0.1591 0.5000 In
0.0765 0.2189 0.5000 In
0.9235 0.7811 0.5000 In
0.2189 0.0765 0.5000 In
0.7811 0.9235 0.5000 In
0.5000 0.5000 0.5000 In
0.2469 0.4489 0.5000 Ni
0.7531 0.5511 0.5000 Ni
0.4489 0.2469 0.5000 Ni
0.5511 0.7531 0.5000 Ni
```



no.,ΔH_f (0 K) (eV/atom)
1,0.09
2,-3.40
3,-0.54
4,-0.53